No. 1
This record from Materials Project describes a relaxed structure of NaMg14TiO16. The functional is PBE.

Structure (extended XYZ):
```
32
Lattice="8.569 0.000 0.000 0.000 8.569 0.000 0.000 0.000 4.278" Properties=species:S:1:pos:R:3 pbc="T T T"
O 4.284 6.562 0.000
O 4.284 4.284 2.139
O 0.000 6.503 0.000
O 6.443 6.443 2.139
O 0.000 2.066 0.000
O 0.000 0.000 2.139
O 2.066 0.000 0.000
O 2.126 6.443 2.139
O 2.126 2.126 2.139
O 6.562 4.284 0.000
O 4.284 2.007 0.000
O 0.000 4.284 2.139
O 2.007 4.284 0.000
O 6.503 0.000 0.000
O 4.284 0.000 2.139
O 6.443 2.126 2.139
Na 4.284 4.284 0.000
Mg 2.192 0.000 2.139
Mg 2.197 6.372 0.000
Mg 4.284 6.384 2.139
Mg 0.000 2.192 2.139
Mg 6.377 0.000 2.139
Mg 4.284 2.185 2.139
Mg 2.185 4.284 2.139
Mg 0.000 6.377 2.139
Mg 2.197 2.197 0.000
Mg 6.384 4.284 2.139
Mg 4.284 0.000 0.000
Mg 6.372 2.197 0.000
Mg 6.372 6.372 0.000
Mg 0.000 4.284 0.000
Ti 0.000 0.000 0.000
```

Properties
Its formation enthalpy at 0 K is -2971.8 meV/atom.


No. 2
This record from Materials Project describes a relaxed structure of NaMg6TiO8. The functional is PBE.

Structure (extended XYZ):
```
16
Lattice="-3.792 -3.068 7.092 2.780 -3.303 0.057 2.701 2.316 2.446" Properties=species:S:1:pos:R:3 pbc="T T T"
Na -1.896 -1.534 3.546
O -0.506 -3.185 3.575
O -0.545 -0.376 4.769
O 1.807 -1.249 2.998
O 1.350 1.158 1.223
O -0.118 -2.806 6.598
O -2.923 -2.365 5.468
O 1.390 -1.651 0.029
O -0.868 -0.703 1.624
Ti 0.000 0.000 0.000
Mg 2.740 -0.494 1.252
Mg 0.397 -2.455 1.886
Mg 0.844 -2.027 4.798
Mg 0.357 0.354 3.080
Mg -1.448 -1.107 6.458
Mg -1.409 -3.916 5.264
```

Properties
Its formation enthalpy at 0 K is -2884.4 meV/atom. The total magnetization is 1.00 μB per formula unit.


No. 3
This record from Materials Project describes a relaxed structure of NaYMg6O8. The functional is PBE.

Structure (extended XYZ):
```
16
Lattice="-1.078 -8.179 3.103 1.744 -1.635 -3.705 4.014 0.161 1.818" Properties=species:S:1:pos:R:3 pbc="T T T"
O 2.590 -2.930 -0.112
O 0.333 -4.907 -0.301
O 2.007 0.080 0.909
O 2.090 -6.723 1.327
O 0.872 -0.818 -1.853
O -0.797 -6.045 2.293
O 1.468 -4.009 2.461
O -0.281 -2.134 0.809
Mg 1.212 -5.953 3.198
Mg 2.340 -4.827 0.608
Mg -0.539 -4.090 1.551
Mg 1.724 -2.066 1.723
Mg 0.077 -6.851 0.436
Mg 0.589 -2.964 -1.038
Y 0.000 0.000 0.000
Na 2.879 -0.737 -0.943
```

Properties
Its formation enthalpy at 0 K is -2973.8 meV/atom. The total magnetization is 0.00 μB per formula unit.


No. 4
This record from Materials Project describes a relaxed structure of NaYMg6O8. The functional is PBE.

Structure (extended XYZ):
```
16
Lattice="8.930 0.000 0.000 0.000 4.409 0.000 0.000 0.000 4.409" Properties=species:S:1:pos:R:3 pbc="T T T"
O 4.465 0.000 2.205
O 2.210 2.205 2.205
O 6.723 0.000 0.000
O 2.207 0.000 0.000
O 4.465 2.205 0.000
O 0.000 2.205 0.000
O 6.719 2.205 2.205
O 0.000 0.000 2.205
Na 4.465 0.000 0.000
Mg 2.437 0.000 2.205
Mg 6.493 2.205 0.000
Mg 4.465 2.205 2.205
Mg 2.437 2.205 0.000
Mg 6.493 0.000 2.205
Mg 0.000 2.205 2.205
Y 0.000 0.000 0.000
```

Properties
Its formation enthalpy at 0 K is -2924.4 meV/atom. The total magnetization is 0.00 μB per formula unit.


No. 5
This record from Materials Project describes a relaxed structure of NaMgP. The functional is PBE.

Structure (extended XYZ):
```
3
Lattice="-2.690 1.194 3.369 -4.344 -1.063 -0.122 -1.620 -3.110 2.778" Properties=species:S:1:pos:R:3 pbc="T T T"
Mg -4.328 -1.490 3.013
Na -6.491 -2.235 4.520
P 0.000 0.000 0.000
```

Properties
Its formation enthalpy at 0 K is 116.3 meV/atom. The total magnetization is 0.00 μB per formula unit.


No. 6
This record from Materials Project describes a relaxed structure of NaMg14Sb. The functional is PBE.

Structure (extended XYZ):
```
16
Lattice="6.448 0.048 0.000 -3.183 5.513 0.000 0.000 0.000 10.504" Properties=species:S:1:pos:R:3 pbc="T T T"
Mg 1.632 0.938 3.990
Mg 1.643 4.642 1.313
Mg 4.825 0.948 9.134
Mg 3.232 1.875 6.565
Mg 0.017 1.847 6.565
Mg 3.236 3.706 9.188
Mg 1.648 4.618 6.565
Mg 3.236 3.706 3.942
Mg 3.250 1.859 1.313
Mg 4.825 0.948 3.996
Mg -1.582 4.600 6.565
Mg 1.632 0.938 9.141
Mg 0.037 3.701 3.990
Mg 0.037 3.701 9.141
Sb -1.554 4.616 1.313
Na 0.010 1.844 1.313
```

Properties
Its formation enthalpy at 0 K is -34.5 meV/atom. The total magnetization is 0.00 μB per formula unit.


No. 7
This record from Materials Project describes a relaxed structure of Na2MgSb2. The functional is PBE.

Structure (extended XYZ):
```
5
Lattice="-6.024 -1.889 1.221 1.637 -6.076 -1.323 3.584 -2.158 14.346" Properties=species:S:1:pos:R:3 pbc="T T T"
Sb -1.548 -4.371 2.532
Sb 0.745 -5.752 11.711
Mg -2.194 -3.983 -0.051
Na -0.834 -4.802 5.393
Na 0.030 -5.322 8.851
```

Properties
Its formation enthalpy at 0 K is 776.0 meV/atom. The total magnetization is 3.93 μB per formula unit.


No. 8
This record from Materials Project describes a relaxed structure of NaMg14Sb. The functional is PBE.

Structure (extended XYZ):
```
16
Lattice="-0.948 -5.897 2.316 5.250 1.285 -3.440 5.116 2.629 8.789" Properties=species:S:1:pos:R:3 pbc="T T T"
Mg 1.742 -3.169 1.503
Mg 7.409 1.745 3.011
Mg 4.328 -1.865 5.884
Mg 7.192 -1.755 7.338
Mg 2.471 -0.776 3.513
Mg 7.672 1.182 6.153
Mg 6.931 -1.228 4.179
Mg 5.124 -0.127 1.775
Mg 4.622 -3.075 2.922
Mg 4.550 -2.384 9.036
Mg 5.019 0.533 7.891
Mg 2.002 -3.693 4.659
Mg 4.862 0.399 -1.380
Mg 4.392 -2.521 -0.233
Sb 4.789 1.088 4.733
Na 2.231 -0.226 0.338
```

Properties
Its formation enthalpy at 0 K is -7.1 meV/atom. The total magnetization is 0.00 μB per formula unit.


No. 9
This record from Materials Project describes a relaxed structure of NaMg6Sb. The functional is PBE.

Structure (extended XYZ):
```
16
Lattice="-3.461 -2.695 2.742 -0.811 -4.110 -5.063 8.257 -6.544 3.990" Properties=species:S:1:pos:R:3 pbc="T T T"
Na 2.350 -4.238 -1.200
Na 6.883 -5.455 3.326
Mg 5.239 -10.419 1.252
Mg 4.594 -4.841 1.040
Mg 0.060 -3.624 -3.487
Mg 5.639 -8.393 3.747
Mg -0.351 -2.441 2.038
Mg 3.372 -7.768 1.501
Mg 2.770 -2.196 1.339
Mg 6.493 -7.523 0.802
Mg 1.105 -7.176 -0.779
Mg 4.193 -6.875 -1.466
Mg 1.516 -5.092 1.789
Mg 0.470 -1.548 -0.929
Sb 3.773 -5.709 4.030
Sb -0.761 -4.493 -0.496
```

Properties
Its formation enthalpy at 0 K is -62.4 meV/atom. The total magnetization is 0.00 μB per formula unit.


No. 10
This record from Materials Project describes a relaxed structure of NaMg6Sb. The functional is PBE.

Structure (extended XYZ):
```
16
Lattice="5.273 0.000 0.000 0.000 6.354 0.000 0.000 0.000 11.436" Properties=species:S:1:pos:R:3 pbc="T T T"
Na 0.000 3.177 7.629
Na 0.000 0.000 1.912
Sb 0.000 0.000 7.613
Sb 0.000 3.177 1.895
Mg 2.636 4.761 6.647
Mg 2.636 3.177 3.846
Mg 2.636 0.000 9.564
Mg 0.000 4.777 4.761
Mg 2.636 1.592 6.647
Mg 0.000 1.600 10.478
Mg 2.636 3.177 9.557
Mg 2.636 4.769 0.929
Mg 2.636 0.000 3.839
Mg 2.636 1.584 0.929
Mg 0.000 1.577 4.761
Mg 0.000 4.754 10.478
```

Properties
Its formation enthalpy at 0 K is -63.0 meV/atom. The total magnetization is 0.00 μB per formula unit.


No. 11
This record from Materials Project describes a relaxed structure of NaMg14Si. The functional is PBE.

Structure (extended XYZ):
```
16
Lattice="-1.046 -1.135 -6.135 -1.170 -4.502 4.307 -9.785 3.518 1.017" Properties=species:S:1:pos:R:3 pbc="T T T"
Mg -9.671 1.388 -3.510
Mg -5.356 -2.606 -1.846
Mg -7.266 -1.744 3.201
Mg -4.780 -2.045 1.196
Mg -6.680 0.509 1.050
Mg -4.701 -0.399 -4.027
Mg -2.895 -4.062 -0.384
Mg -2.314 -1.828 -2.522
Mg -7.788 -2.311 0.140
Mg -9.120 1.942 -0.416
Mg -4.203 0.174 -0.927
Mg -9.697 -0.277 1.708
Mg -7.202 -0.054 -2.020
Mg -10.172 -0.874 -1.345
Si -1.793 -1.262 0.526
Na -2.372 -3.499 2.696
```

Properties
Its formation enthalpy at 0 K is 43.1 meV/atom. The total magnetization is 0.00 μB per formula unit.


No. 12
This record from Materials Project describes a relaxed structure of NaMg6Si. The functional is PBE.

Structure (extended XYZ):
```
16
Lattice="-1.211 2.246 -4.351 -5.024 -3.879 -0.604 -6.242 7.233 5.472" Properties=species:S:1:pos:R:3 pbc="T T T"
Mg -2.075 2.405 1.819
Mg -7.268 3.994 1.162
Mg -7.530 6.800 2.684
Mg -7.708 4.082 4.254
Mg -10.123 4.798 2.372
Mg -4.913 3.223 3.032
Mg -7.379 1.319 2.736
Mg -4.304 -2.332 -0.006
Mg -4.490 3.121 -0.062
Mg -6.921 1.244 -0.354
Mg -1.746 -0.358 0.302
Mg -1.636 2.316 -1.272
Na -4.789 5.970 1.492
Na -4.180 0.415 -1.546
Si -4.626 0.510 1.552
Si -5.235 6.066 4.590
```

Properties
Its formation enthalpy at 0 K is 103.2 meV/atom. The total magnetization is 0.00 μB per formula unit.


No. 13
This record from Materials Project describes a relaxed structure of NaMg14Si. The functional is PBE.

Structure (extended XYZ):
```
16
Lattice="6.303 0.000 0.000 -3.151 5.458 0.000 0.000 0.000 10.478" Properties=species:S:1:pos:R:3 pbc="T T T"
Si 0.000 1.819 1.310
Mg 0.000 3.629 9.240
Mg -1.592 4.539 1.310
Mg -1.555 4.560 6.549
Mg 4.736 0.915 9.240
Mg 1.555 4.560 6.549
Mg 1.567 0.915 3.857
Mg 1.592 4.539 1.310
Mg 1.567 0.915 9.240
Mg 4.736 0.915 3.857
Mg 0.000 3.629 3.857
Mg 3.151 3.639 9.126
Mg 3.151 3.639 3.972
Mg 3.151 1.838 1.310
Mg 3.151 1.796 6.549
Na 0.000 1.819 6.549
```

Properties
Its formation enthalpy at 0 K is 57.9 meV/atom. The total magnetization is 0.00 μB per formula unit.


No. 14
This record from Materials Project describes a relaxed structure of NaMg6Si. The functional is PBE.

Structure (extended XYZ):
```
16
Lattice="5.019 0.000 0.000 0.000 6.339 0.000 0.000 0.000 11.115" Properties=species:S:1:pos:R:3 pbc="T T T"
Mg 2.510 1.594 4.630
Mg 0.000 1.619 6.497
Mg 2.510 4.744 4.630
Mg 0.000 4.788 0.939
Mg 2.510 1.575 10.187
Mg 0.000 1.551 0.939
Mg 0.000 3.169 3.723
Mg 2.510 4.764 10.187
Mg 0.000 3.169 9.243
Mg 0.000 0.000 3.686
Mg 0.000 4.720 6.497
Mg 0.000 0.000 9.281
Na 2.510 3.169 1.855
Na 2.510 0.000 7.413
Si 2.510 3.169 7.387
Si 2.510 0.000 1.829
```

Properties
Its formation enthalpy at 0 K is 104.7 meV/atom. The total magnetization is 0.00 μB per formula unit.


No. 15
This record from Materials Project describes a relaxed structure of Na2MgSn. The functional is PBE.

Structure (extended XYZ):
```
8
Lattice="3.468 3.655 -0.668 -0.951 -3.314 -3.735 -7.141 6.116 -3.608" Properties=species:S:1:pos:R:3 pbc="T T T"
Mg -5.356 4.587 -2.706
Mg -1.785 1.529 -0.902
Na -2.480 1.580 -4.229
Na -2.145 4.877 -3.781
Na -4.578 6.961 -5.010
Na -0.047 -0.503 -3.000
Sn 0.210 2.861 -2.592
Sn -4.834 3.596 -5.418
```

Properties
Its formation enthalpy at 0 K is -200.4 meV/atom.


No. 16
This record from Materials Project describes a relaxed structure of NaMg6Sn. The functional is PBE.

Structure (extended XYZ):
```
16
Lattice="5.167 0.000 0.000 0.000 6.467 0.000 0.000 0.000 11.393" Properties=species:S:1:pos:R:3 pbc="T T T"
Mg 2.583 1.627 4.743
Mg 2.583 4.861 10.440
Mg 0.000 4.856 6.628
Mg 0.000 1.623 0.932
Mg 0.000 0.000 9.515
Mg 0.000 3.234 9.521
Mg 0.000 3.234 3.818
Mg 0.000 0.000 3.825
Mg 0.000 4.844 0.932
Mg 2.583 4.840 4.743
Mg 0.000 1.611 6.628
Mg 2.583 1.606 10.440
Sn 2.583 3.234 7.585
Sn 2.583 0.000 1.889
Na 2.583 0.000 7.599
Na 2.583 3.234 1.902
```

Properties
Its formation enthalpy at 0 K is -9.4 meV/atom. The total magnetization is 0.00 μB per formula unit.


No. 17
This record from Materials Project describes a relaxed structure of NaMg6Sn. The functional is PBE.

Structure (extended XYZ):
```
16
Lattice="5.194 0.000 0.000 0.000 6.523 0.000 0.000 0.000 11.238" Properties=species:S:1:pos:R:3 pbc="T T T"
Mg 2.597 0.000 1.859
Mg 2.597 4.893 4.692
Mg 0.000 1.655 6.551
Mg 0.000 1.606 0.932
Mg 0.000 4.916 0.932
Mg 2.597 1.630 4.692
Mg 2.597 1.631 10.311
Mg 0.000 0.000 3.739
Mg 0.000 4.867 6.551
Mg 0.000 3.261 9.357
Mg 2.597 4.891 10.311
Mg 2.597 3.261 7.478
Na 2.597 0.000 7.491
Na 2.597 3.261 1.872
Sn 0.000 3.261 3.757
Sn 0.000 0.000 9.376
```

Properties
Its formation enthalpy at 0 K is -10.6 meV/atom. The total magnetization is 0.00 μB per formula unit.


No. 18
This record from Materials Project describes a relaxed structure of NaMg6Ti. The functional is PBE.

Structure (extended XYZ):
```
16
Lattice="-4.462 1.080 -2.349 -3.099 -0.730 5.550 1.441 10.787 2.223" Properties=species:S:1:pos:R:3 pbc="T T T"
Mg -0.346 8.644 4.632
Mg -2.819 7.371 3.084
Mg -3.272 9.833 5.075
Mg -0.656 0.706 1.570
Mg 0.064 6.099 2.683
Mg -1.658 10.213 2.185
Mg -1.990 2.343 -0.803
Mg 0.483 3.616 0.745
Mg -2.206 0.340 4.347
Mg -1.485 5.734 5.456
Mg -3.928 4.455 3.849
Mg -2.443 4.805 1.189
Na -1.271 7.727 0.306
Na -3.541 1.968 1.970
Ti -1.058 3.313 3.533
Ti 1.211 9.071 1.869
```

Properties
Its formation enthalpy at 0 K is 187.9 meV/atom. The total magnetization is 1.81 μB per formula unit.